The following is a DFT calculation (r²SCAN) of Rb3Ta2S11 after structural relaxation.

Calculated values
Raw total energy ... -15.2093 eV per atom
Formation energy from the elements ... -1000 meV/atom

Cell lengths 11.883, 8.059, 19.451 Å; angles 90.00, 103.91, 90.00 degrees
Positions (direct):
Rb1 0.002 0.170 0.160
Rb2 0.002 0.330 0.660
Rb3 0.232 0.688 0.114
Rb4 0.232 0.812 0.614
Rb5 0.458 0.656 0.357
Rb6 0.458 0.844 0.857
Rb7 0.542 0.156 0.143
Rb8 0.542 0.344 0.643
Rb9 0.768 0.188 0.386
Rb10 0.768 0.312 0.886
Rb11 0.998 0.670 0.340
Rb12 0.998 0.830 0.840
Ta1 0.196 0.229 0.992
Ta2 0.196 0.271 0.492
Ta3 0.289 0.140 0.337
Ta4 0.289 0.360 0.837
Ta5 0.711 0.640 0.163
Ta6 0.711 0.860 0.663
Ta7 0.804 0.729 0.508
Ta8 0.804 0.771 0.008
S1 0.003 0.625 0.514
S2 0.003 0.875 0.014
S3 0.082 0.016 0.452
S4 0.082 0.484 0.952
S5 0.104 0.228 0.839
S6 0.104 0.272 0.339
S7 0.202 0.108 0.779
S8 0.202 0.392 0.279
S9 0.232 0.572 0.764
S10 0.232 0.928 0.264
S11 0.250 0.554 0.468
S12 0.250 0.946 0.968
S13 0.255 0.001 0.449
S14 0.255 0.499 0.949
S15 0.259 0.236 0.609
S16 0.259 0.264 0.109
S17 0.369 0.129 0.958
S18 0.369 0.371 0.458
S19 0.476 0.221 0.315
S20 0.476 0.279 0.815
S21 0.486 0.070 0.403
S22 0.486 0.430 0.903
S23 0.514 0.570 0.097
S24 0.514 0.930 0.597
S25 0.524 0.721 0.185
S26 0.524 0.779 0.685
S27 0.631 0.629 0.542
S28 0.631 0.871 0.042
S29 0.741 0.736 0.891
S30 0.741 0.764 0.391
S31 0.745 0.501 0.051
S32 0.745 0.999 0.551
S33 0.750 0.054 0.032
S34 0.750 0.446 0.532
S35 0.768 0.072 0.736
S36 0.768 0.428 0.236
S37 0.798 0.608 0.721
S38 0.798 0.892 0.221
S39 0.896 0.728 0.661
S40 0.896 0.772 0.161
S41 0.918 0.516 0.048
S42 0.918 0.984 0.548
S43 0.997 0.125 0.986
S44 0.997 0.375 0.486